A plane-wave DFT calculation with PBE with a Hubbard U was carried out for a relaxed NaV2O4 crystal.

Cell lengths 9.276, 2.947, 10.875 Å; angles 90.00, 90.24, 90.00 degrees
Sites, in units of the cell vectors:
Na 0.000 0.000 0.000
Na 0.009 0.500 0.498
Na 0.498 0.000 0.803
Na 0.510 0.500 0.305
V 0.175 0.500 0.756
V 0.188 0.500 0.263
V 0.319 0.000 0.042
V 0.334 0.000 0.547
V 0.670 0.500 0.045
V 0.689 0.500 0.541
V 0.821 0.000 0.763
V 0.832 0.000 0.255
O 0.044 0.000 0.299
O 0.141 0.000 0.633
O 0.178 0.500 0.082
O 0.234 0.000 0.868
O 0.274 0.500 0.434
O 0.331 0.000 0.227
O 0.367 0.500 0.671
O 0.473 0.500 0.001
O 0.545 0.000 0.503
O 0.640 0.000 0.168
O 0.678 0.500 0.725
O 0.734 0.000 0.938
O 0.775 0.500 0.370
O 0.831 0.000 0.581
O 0.862 0.500 0.129
O 0.964 0.500 0.802

Crystal system: monoclinic
Distance to the lowest polymorph of the same formula in meV/atom: 8
Energy of formation in meV per atom: -2423.1
M_tot in μB per atom: 0.429
Symmetry: Pm



A plane-wave DFT calculation with PBE with a Hubbard U was carried out for a relaxed NaVO3 crystal.

Cell lengths 7.808, 7.808, 6.238 Å; angles 113.38, 113.38, 73.26 degrees
Sites, in units of the cell vectors:
Na 0.208 0.792 0.500
Na 0.212 0.793 0.004
Na 0.792 0.208 0.000
Na 0.793 0.212 0.504
V 0.196 0.365 0.031
V 0.365 0.196 0.531
V 0.637 0.807 0.973
V 0.807 0.637 0.473
O 0.022 0.232 0.878
O 0.101 0.594 0.101
O 0.232 0.022 0.378
O 0.327 0.335 0.829
O 0.335 0.327 0.329
O 0.407 0.900 0.900
O 0.594 0.101 0.601
O 0.668 0.675 0.175
O 0.675 0.668 0.675
O 0.767 0.983 0.126
O 0.900 0.407 0.400
O 0.983 0.767 0.626

Crystal system: monoclinic
Energy of formation in meV per atom: -2336.7
M_tot in μB per atom: 0.000
Symmetry: Cc



A plane-wave DFT calculation with PBE with a Hubbard U was carried out for a relaxed Na5VO5 crystal.

Cell lengths 5.926, 5.926, 9.971 Å; angles 98.92, 98.92, 116.55 degrees
Sites, in units of the cell vectors:
Na 0.059 0.285 0.552
Na 0.166 0.834 0.750
Na 0.174 0.483 0.920
Na 0.285 0.059 0.052
Na 0.483 0.174 0.420
Na 0.517 0.826 0.580
Na 0.715 0.941 0.948
Na 0.826 0.517 0.080
Na 0.834 0.166 0.250
Na 0.941 0.715 0.448
V 0.407 0.593 0.250
V 0.593 0.407 0.750
O 0.102 0.315 0.109
O 0.206 0.545 0.376
O 0.315 0.102 0.609
O 0.415 0.585 0.750
O 0.455 0.794 0.124
O 0.545 0.206 0.876
O 0.585 0.415 0.250
O 0.685 0.898 0.391
O 0.794 0.455 0.624
O 0.898 0.685 0.891

Crystal system: monoclinic
Distance to the lowest polymorph of the same formula in meV/atom: 56
Energy of formation in meV per atom: -2003.1
M_tot in μB per atom: 0.000
Symmetry: C2/c



A plane-wave DFT calculation with PBE with a Hubbard U was carried out for a relaxed Na4V3O8 crystal.

Cell lengths 6.894, 4.260, 12.215 Å; angles 90.00, 103.37, 90.00 degrees
Sites, in units of the cell vectors:
Na 0.033 0.250 0.333
Na 0.178 0.250 0.596
Na 0.414 0.250 0.047
Na 0.460 0.750 0.709
Na 0.540 0.250 0.291
Na 0.586 0.750 0.953
Na 0.822 0.750 0.404
Na 0.967 0.750 0.667
V 0.095 0.750 0.926
V 0.210 0.750 0.189
V 0.350 0.750 0.442
V 0.650 0.250 0.558
V 0.790 0.250 0.811
V 0.905 0.250 0.074
O 0.050 0.250 0.935
O 0.094 0.750 0.310
O 0.177 0.250 0.172
O 0.191 0.750 0.539
O 0.244 0.750 0.832
O 0.327 0.750 0.063
O 0.385 0.250 0.455
O 0.458 0.750 0.308
O 0.542 0.250 0.692
O 0.615 0.750 0.545
O 0.673 0.250 0.937
O 0.756 0.250 0.168
O 0.809 0.250 0.461
O 0.823 0.750 0.828
O 0.906 0.250 0.690
O 0.950 0.750 0.065

Crystal system: monoclinic
Energy of formation in meV per atom: -2267.5
M_tot in μB per atom: 0.200
Symmetry: P2_1/m



A plane-wave DFT calculation with PBE with a Hubbard U was carried out for a relaxed NaV4O10 crystal.

Cell lengths 6.158, 6.158, 18.762 Å; angles 90.00, 90.00, 145.23 degrees
Sites, in units of the cell vectors:
Na 0.080 0.920 0.750
Na 0.920 0.080 0.250
V 0.271 0.729 0.083
V 0.271 0.729 0.417
V 0.437 0.563 0.581
V 0.437 0.563 0.919
V 0.563 0.437 0.081
V 0.563 0.437 0.419
V 0.729 0.271 0.583
V 0.729 0.271 0.917
O 0.101 0.899 0.068
O 0.101 0.899 0.432
O 0.260 0.740 0.561
O 0.260 0.740 0.939
O 0.296 0.704 0.169
O 0.296 0.704 0.331
O 0.420 0.580 0.048
O 0.420 0.580 0.452
O 0.459 0.541 0.668
O 0.459 0.541 0.832
O 0.541 0.459 0.168
O 0.541 0.459 0.332
O 0.580 0.420 0.548
O 0.580 0.420 0.952
O 0.704 0.296 0.669
O 0.704 0.296 0.831
O 0.740 0.260 0.061
O 0.740 0.260 0.439
O 0.899 0.101 0.568
O 0.899 0.101 0.932

Crystal system: orthorhombic
Distance to the lowest polymorph of the same formula in meV/atom: 9
Energy of formation in meV per atom: -2321.6
M_tot in μB per atom: 0.068
Symmetry: Cmcm



A plane-wave DFT calculation with PBE with a Hubbard U was carried out for a relaxed NaV2O5 crystal.

Cell lengths 3.652, 5.101, 11.467 Å; angles 90.00, 90.00, 90.00 degrees
Sites, in units of the cell vectors:
Na 0.000 0.134 0.000
Na 0.500 0.866 0.500
V 0.000 0.390 0.640
V 0.000 0.403 0.337
V 0.500 0.597 0.837
V 0.500 0.610 0.140
O 0.000 0.069 0.617
O 0.000 0.085 0.356
O 0.000 0.480 0.167
O 0.000 0.491 0.809
O 0.000 0.535 0.481
O 0.500 0.465 0.981
O 0.500 0.509 0.309
O 0.500 0.520 0.667
O 0.500 0.915 0.856
O 0.500 0.931 0.117

Crystal system: orthorhombic
Distance to the lowest polymorph of the same formula in meV/atom: 6
Energy of formation in meV per atom: -2405.1
M_tot in μB per atom: 0.125
Symmetry: Pmn2_1